Computed, not measured: a relaxed structure of Pr3Pd4 at the r²SCAN level of DFT.

Properties
E_form	-0.810	eV per atom
symmetry	R-3, No. 148

Structure (CIF):
```
data_Pr3Pd4
_symmetry_space_group_name_H-M 'P 1'
_symmetry_Int_Tables_number 1
_cell_length_a 8.202
_cell_length_b 8.202
_cell_length_c 8.202
_cell_angle_alpha 114.57
_cell_angle_beta 114.57
_cell_angle_gamma 114.57
loop_
_symmetry_equiv_pos_as_xyz
'x,y,z'
loop_
_atom_site_label
_atom_site_fract_x
_atom_site_fract_y
_atom_site_fract_z
Pr1 0.029 0.405 0.282
Pr2 0.282 0.029 0.405
Pr3 0.405 0.282 0.029
Pr4 0.595 0.718 0.971
Pr5 0.718 0.971 0.595
Pr6 0.971 0.595 0.718
Pd1 0.000 0.000 0.000
Pd2 0.057 0.221 0.556
Pd3 0.221 0.556 0.057
Pd4 0.444 0.943 0.779
Pd5 0.500 0.500 0.500
Pd6 0.556 0.057 0.221
Pd7 0.779 0.444 0.943
Pd8 0.943 0.779 0.444
```